First-principles (PBE) data for a relaxed structure of K5Dy3I12, as listed in the Materials Project.

Summary:
Calculated total energy ... -3.245 eV/atom
Total magnetization ... 0.043 μB/atom
MP2020-corrected energy ... -69.4 eV/cell
Energy relative to the elements ... -1.59 eV per atom

Cell lengths 14.8698, 14.8698, 4.4478 Å; angles 90.00, 90.00, 120.00 degrees
Space group P-62m (No. 189)
Asymmetric unit:
K 0.0000 0.7167 0.0000 (multiplicity 3)
K 0.3333 0.6667 0.0000 (multiplicity 2)
Dy 0.0000 0.3239 0.5000 (multiplicity 3)
I 0.0000 0.1759 0.0000 (multiplicity 3)
I 0.0000 0.4683 0.0000 (multiplicity 3)
I 0.2050 0.7610 0.5000 (multiplicity 6)

First-principles (PBE) data for a relaxed structure of MgAg14Pb6O18, as listed in the Materials Project.

Summary:
Calculated total energy ... -4.441 eV/atom
Total magnetization ... 0.000 μB/atom
MP2020-corrected energy ... -185.6 eV/cell
Energy relative to the elements ... -0.85 eV per atom

Cell lengths 8.8415, 8.9908, 9.0349 Å; angles 72.88, 73.87, 72.44 degrees
Space group P1 (No. 1)
Asymmetric unit:
Mg 0.0000 0.0000 0.0000 (multiplicity 1)
Ag 0.0443 0.5525 0.7834 (multiplicity 1)
Ag 0.1560 0.1717 0.3685 (multiplicity 1)
Ag 0.2261 0.2340 0.9373 (multiplicity 1)
Ag 0.2314 0.7036 0.4479 (multiplicity 1)
Ag 0.2918 0.3002 0.5606 (multiplicity 1)
Ag 0.3679 0.8991 0.1263 (multiplicity 1)
Ag 0.4578 0.4769 0.6781 (multiplicity 1)
Ag 0.5589 0.5611 0.2677 (multiplicity 1)
Ag 0.6175 0.6406 0.8619 (multiplicity 1)
Ag 0.7007 0.2277 0.4495 (multiplicity 1)
Ag 0.7741 0.7722 0.0309 (multiplicity 1)
Ag 0.8270 0.8815 0.6708 (multiplicity 1)
Ag 0.8947 0.3681 0.1240 (multiplicity 1)
Ag 0.9875 0.9858 0.3208 (multiplicity 1)
Pb 0.2165 0.5605 0.1125 (multiplicity 1)
Pb 0.2494 0.8766 0.7485 (multiplicity 1)
Pb 0.5548 0.2228 0.1082 (multiplicity 1)
Pb 0.5587 0.8931 0.4351 (multiplicity 1)
Pb 0.8558 0.2395 0.7631 (multiplicity 1)
Pb 0.8866 0.5592 0.4411 (multiplicity 1)
O 0.1237 0.1498 0.7985 (multiplicity 1)
O 0.1622 0.5228 0.3868 (multiplicity 1)
O 0.1735 0.8316 0.0851 (multiplicity 1)
O 0.2332 0.6055 0.8479 (multiplicity 1)
O 0.2851 0.2898 0.1267 (multiplicity 1)
O 0.2880 0.9081 0.4806 (multiplicity 1)
O 0.4946 0.4947 0.0912 (multiplicity 1)
O 0.5190 0.1656 0.3823 (multiplicity 1)
O 0.5186 0.8662 0.6922 (multiplicity 1)
O 0.5704 0.9538 0.1709 (multiplicity 1)
O 0.5956 0.2704 0.8453 (multiplicity 1)
O 0.6131 0.6222 0.4545 (multiplicity 1)
O 0.8230 0.8241 0.4428 (multiplicity 1)
O 0.8292 0.1844 0.0648 (multiplicity 1)
O 0.8613 0.4967 0.7109 (multiplicity 1)
O 0.8966 0.2847 0.5020 (multiplicity 1)
O 0.9064 0.9643 0.8368 (multiplicity 1)
O 0.9450 0.5657 0.1755 (multiplicity 1)

First-principles (PBE) data for a relaxed structure of CsHo, as listed in the Materials Project.

Summary:
Calculated total energy ... -1.983 eV/atom
Total magnetization ... 0.016 μB/atom
Energy relative to the elements ... 0.76 eV per atom

Cell lengths 3.7723, 3.7723, 7.5566 Å; angles 90.00, 90.00, 120.00 degrees
Space group P-6m2 (No. 187)
Asymmetric unit:
Cs 0.0000 0.0000 0.0000 (multiplicity 1)
Ho 0.6667 0.3333 0.5000 (multiplicity 1)

First-principles (PBE) data for a relaxed structure of SiGe, as listed in the Materials Project.

Summary:
Calculated total energy ... -4.999 eV/atom
Energy relative to the elements ... 0.02 eV per atom

Cell lengths 5.5931, 5.5931, 5.5931 Å; angles 90.00, 90.00, 90.00 degrees
Space group F-43m (No. 216)
Asymmetric unit:
Si 0.0000 0.0000 0.0000 (multiplicity 4)
Ge 0.2500 0.2500 0.7500 (multiplicity 4)

First-principles (PBE) data for a relaxed structure of Dy2NiAs2, as listed in the Materials Project.

Summary:
Calculated total energy ... -6.102 eV/atom
Total magnetization ... 0.000 μB/atom
Energy relative to the elements ... -1.24 eV per atom

Cell lengths 4.1060, 4.1060, 14.2811 Å; angles 90.00, 90.00, 120.00 degrees
Space group P6_3mc (No. 186)
Asymmetric unit:
Dy 0.3333 0.6667 0.0000 (multiplicity 2)
Dy 0.3333 0.6667 0.2658 (multiplicity 2)
Ni 0.0000 0.0000 0.1426 (multiplicity 2)
As 0.0000 0.0000 0.3813 (multiplicity 2)
As 0.3333 0.6667 0.6296 (multiplicity 2)

First-principles (PBE) data for a relaxed structure of Ta2Mn4Si5, as listed in the Materials Project.

Summary:
Calculated total energy ... -8.156 eV/atom
Total magnetization ... 0.903 μB/atom
MP2020-corrected energy ... -357.4 eV/cell
Energy relative to the elements ... -0.17 eV per atom

Cell lengths 7.2814, 16.6407, 5.1871 Å; angles 90.00, 90.00, 90.00 degrees
Space group Ibam (No. 72)
Asymmetric unit:
Ta 0.0000 0.1862 0.2500 (multiplicity 8)
Mn 0.1208 0.3518 0.0000 (multiplicity 8)
Mn 0.2491 0.0648 0.0000 (multiplicity 8)
Si 0.0000 0.5000 0.2500 (multiplicity 4)
Si 0.1005 0.0582 0.5000 (multiplicity 8)
Si 0.1908 0.2940 0.5000 (multiplicity 8)

First-principles (PBE) data for a relaxed structure of Al10Ge2O19, as listed in the Materials Project.

Summary:
Calculated total energy ... -7.256 eV/atom
Total magnetization ... 0.000 μB/atom
MP2020-corrected energy ... -952.0 eV/cell
Energy relative to the elements ... -3.14 eV per atom

Cell lengths 5.9254, 30.8535, 7.8330 Å; angles 90.00, 90.00, 90.00 degrees
Space group Cmc2_1 (No. 36)
Asymmetric unit:
Al 0.0000 0.0235 0.0000 (multiplicity 4)
Al 0.0000 0.0989 0.3456 (multiplicity 4)
Al 0.0000 0.2763 0.0281 (multiplicity 4)
Al 0.0000 0.3553 0.3605 (multiplicity 4)
Al 0.0000 0.4020 0.8453 (multiplicity 4)
Al 0.0000 0.4723 0.5148 (multiplicity 4)
Al 0.2432 0.4409 0.1720 (multiplicity 8)
Al 0.2466 0.3151 0.6966 (multiplicity 8)
Ge 0.0000 0.1178 0.9665 (multiplicity 4)
Ge 0.0000 0.2548 0.3852 (multiplicity 4)
O 0.0000 0.0260 0.6046 (multiplicity 4)
O 0.0000 0.0755 0.1282 (multiplicity 4)
O 0.0000 0.0979 0.7589 (multiplicity 4)
O 0.0000 0.1533 0.2678 (multiplicity 4)
O 0.0000 0.2252 0.1372 (multiplicity 4)
O 0.0000 0.2821 0.5873 (multiplicity 4)
O 0.0000 0.3032 0.2377 (multiplicity 4)
O 0.0000 0.3433 0.7967 (multiplicity 4)
O 0.0000 0.4022 0.2457 (multiplicity 4)
O 0.0000 0.4297 0.6573 (multiplicity 4)
O 0.0000 0.4744 0.0970 (multiplicity 4)
O 0.2453 0.1524 0.9861 (multiplicity 8)
O 0.2461 0.0904 0.4607 (multiplicity 8)
O 0.2455 0.2769 0.8975 (multiplicity 8)
O 0.2485 0.4682 0.3882 (multiplicity 8)

First-principles (PBE) data for a relaxed structure of Al3B2Ru4, as listed in the Materials Project.

Summary:
Calculated total energy ... -7.450 eV/atom
Energy relative to the elements ... -0.59 eV per atom

Cell lengths 8.5629, 8.5629, 2.9356 Å; angles 90.00, 90.00, 90.00 degrees
Space group P4/mmm (No. 123)
Asymmetric unit:
Al 0.0000 0.0000 0.0000 (multiplicity 1)
Al 0.0000 0.3472 0.0000 (multiplicity 4)
Al 0.5000 0.5000 0.0000 (multiplicity 1)
B 0.3067 0.3067 0.0000 (multiplicity 4)
Ru 0.1761 0.1761 0.5000 (multiplicity 4)
Ru 0.2437 0.5000 0.5000 (multiplicity 4)

First-principles (PBE) data for a relaxed structure of MgSi, as listed in the Materials Project.

Summary:
Calculated total energy ... -3.480 eV/atom
Total magnetization ... 0.000 μB/atom
MP2020-corrected energy ... -41.3 eV/cell
Energy relative to the elements ... 0.07 eV per atom

Cell lengths 5.5190, 5.6954, 7.6290 Å; angles 96.65, 95.20, 111.43 degrees
Space group P-1 (No. 2)
Asymmetric unit:
Mg 0.0975 0.0255 0.3144 (multiplicity 2)
Mg 0.2372 0.7961 0.9765 (multiplicity 2)
Mg 0.3113 0.5171 0.6427 (multiplicity 2)
Si 0.2005 0.5370 0.2802 (multiplicity 2)
Si 0.3022 0.3165 0.0133 (multiplicity 2)
Si 0.4221 0.0547 0.6403 (multiplicity 2)

First-principles (PBE) data for a relaxed structure of RbEr3F10, as listed in the Materials Project.

Summary:
Calculated total energy ... -6.387 eV/atom
Total magnetization ... 0.000 μB/atom
MP2020-corrected energy ... -376.1 eV/cell
Energy relative to the elements ... -4.30 eV per atom

Cell lengths 8.2121, 8.2121, 13.4105 Å; angles 90.00, 90.00, 120.00 degrees
Space group P6_3mc (No. 186)
Asymmetric unit:
Rb 0.0000 0.0000 0.0000 (multiplicity 2)
Rb 0.3333 0.6667 0.2590 (multiplicity 2)
Er 0.0111 0.5056 0.5132 (multiplicity 6)
Er 0.1743 0.3487 0.7531 (multiplicity 6)
F 0.0061 0.3411 0.8831 (multiplicity 12)
F 0.0406 0.5203 0.6874 (multiplicity 6)
F 0.1098 0.2196 0.2230 (multiplicity 6)
F 0.1842 0.3684 0.5774 (multiplicity 6)
F 0.2229 0.4459 0.0497 (multiplicity 6)
F 0.3333 0.6667 0.4695 (multiplicity 2)
F 0.3333 0.6667 0.7996 (multiplicity 2)

First-principles (PBE) data for a relaxed structure of Sb5IO7, as listed in the Materials Project.

Summary:
Calculated total energy ... -5.513 eV/atom
Total magnetization ... 0.000 μB/atom
MP2020-corrected energy ... -305.9 eV/cell
Energy relative to the elements ... -1.51 eV per atom

Cell lengths 7.0694, 13.2347, 13.4886 Å; angles 90.00, 116.05, 90.00 degrees
Space group Pc (No. 7)
Asymmetric unit:
Sb 0.0000 0.2161 0.0000 (multiplicity 2)
Sb 0.0188 0.0516 0.2169 (multiplicity 2)
Sb 0.0337 0.2571 0.5668 (multiplicity 2)
Sb 0.2626 0.2731 0.3442 (multiplicity 2)
Sb 0.2783 0.2450 0.8700 (multiplicity 2)
Sb 0.3665 0.0535 0.5419 (multiplicity 2)
Sb 0.3801 0.4361 0.5855 (multiplicity 2)
Sb 0.6748 0.2598 0.2115 (multiplicity 2)
Sb 0.7151 0.2329 0.7173 (multiplicity 2)
Sb 0.9036 0.4323 0.1340 (multiplicity 2)
I 0.6121 0.4771 0.3899 (multiplicity 2)
I 0.6131 0.0023 0.3239 (multiplicity 2)
O 0.0033 0.2269 0.7152 (multiplicity 2)
O 0.0932 0.3321 0.1175 (multiplicity 2)
O 0.1187 0.3272 0.9262 (multiplicity 2)
O 0.1583 0.1240 0.1394 (multiplicity 2)
O 0.1666 0.1312 0.3673 (multiplicity 2)
O 0.1983 0.1361 0.9462 (multiplicity 2)
O 0.2128 0.1347 0.6067 (multiplicity 2)
O 0.2403 0.3598 0.6653 (multiplicity 2)
O 0.2557 0.3149 0.4847 (multiplicity 2)
O 0.5967 0.1563 0.5745 (multiplicity 2)
O 0.6329 0.3527 0.0871 (multiplicity 2)
O 0.6631 0.3721 0.6545 (multiplicity 2)
O 0.7751 0.1481 0.1518 (multiplicity 2)
O 0.9630 0.3338 0.2788 (multiplicity 2)

First-principles (PBE) data for a relaxed structure of InCuO3, as listed in the Materials Project.

Summary:
Calculated total energy ... -5.300 eV/atom
Total magnetization ... 0.015 μB/atom
MP2020-corrected energy ... -85.7 eV/cell
Energy relative to the elements ... -1.37 eV per atom

Cell lengths 3.4473, 3.4473, 17.1216 Å; angles 90.00, 90.00, 120.00 degrees
Space group R3m (No. 160, hexagonal axes)
Asymmetric unit:
In 0.0000 0.0000 0.0000 (multiplicity 3)
Cu 0.0000 0.0000 0.4948 (multiplicity 3)
O 0.0000 0.0000 0.1545 (multiplicity 3)
O 0.0000 0.0000 0.3859 (multiplicity 3)
O 0.0000 0.0000 0.6044 (multiplicity 3)